## i
The following is a DFT calculation (PBE+U) of crystalline Li2Cr2S3O12 at its relaxed geometry.

Properties
- ρ: 2794 kg/m³
- Crystal system: orthorhombic

CIF file:
```
data_Li2Cr2S3O12
_cell_length_a 8.8444
_cell_length_b 8.8711
_cell_length_c 24.6055
_cell_angle_alpha 90.00
_cell_angle_beta 90.00
_cell_angle_gamma 90.00
_space_group_name_H-M_alt 'P b c a'
_space_group_IT_number 61
loop_
_space_group_symop_operation_xyz
'x,y,z'
'-x,-y,-z'
'-x+1/2,-y,z+1/2'
'x+1/2,y,-z+1/2'
'x+1/2,-y+1/2,-z'
'-x+1/2,y+1/2,z'
'-x,y+1/2,-z+1/2'
'x,-y+1/2,z+1/2'
loop_
_atom_site_label
_atom_site_type_symbol
_atom_site_fract_x
_atom_site_fract_y
_atom_site_fract_z
Li1 Li 0.0384 0.1222 0.2092
Li2 Li 0.1421 0.0682 0.9906
Cr1 Cr 0.0027 0.7053 0.6803
Cr2 Cr 0.0068 0.5970 0.9341
S1 S 0.1441 0.0542 0.7039
S2 S 0.1462 0.7486 0.5549
S3 S 0.1926 0.5974 0.3847
O1 O 0.0631 0.6162 0.5341
O2 O 0.0800 0.5903 0.2241
O3 O 0.0822 0.6068 0.0305
O4 O 0.0890 0.0906 0.6493
O5 O 0.0944 0.6955 0.4184
O6 O 0.0950 0.1796 0.7417
O7 O 0.0946 0.5167 0.3450
O8 O 0.1366 0.7402 0.1145
O9 O 0.1881 0.5435 0.7052
O10 O 0.1900 0.1820 0.3561
O11 O 0.1928 0.2404 0.5368
O12 O 0.2364 0.5138 0.9235
```

=====

## ii
The following is a DFT calculation (PBE+U) of crystalline Li2Cr2S3O12 at its relaxed geometry.

Properties
- ρ: 2690 kg/m³
- Crystal system: orthorhombic

CIF file:
```
data_Li2Cr2S3O12
_cell_length_a 13.2357
_cell_length_b 8.6260
_cell_length_c 8.7809
_cell_angle_alpha 90.00
_cell_angle_beta 90.00
_cell_angle_gamma 90.00
_space_group_name_H-M_alt 'P b c n'
_space_group_IT_number 60
loop_
_space_group_symop_operation_xyz
'x,y,z'
'-x,-y,-z'
'-x+1/2,-y+1/2,z+1/2'
'x+1/2,y+1/2,-z+1/2'
'x+1/2,-y+1/2,-z'
'-x+1/2,y+1/2,z'
'-x,y,-z+1/2'
'x,-y,z+1/2'
loop_
_atom_site_label
_atom_site_type_symbol
_atom_site_fract_x
_atom_site_fract_y
_atom_site_fract_z
Li1 Li 0.1852 0.2233 0.2226
Cr1 Cr 0.1085 0.2493 0.5397
S1 S 0.0000 0.4551 0.2500
S2 S 0.1450 0.0992 0.8929
O1 O 0.0384 0.1322 0.9168
O2 O 0.0546 0.4523 0.6368
O3 O 0.0766 0.3524 0.3257
O4 O 0.1617 0.0737 0.3872
O5 O 0.1811 0.1650 0.7432
O6 O 0.2091 0.1640 0.0159
```

=====

Relative energies, in eV/atom, with the most stable structure set to zero: i 0.012; ii 0.000.

=====

## i
The following is a DFT calculation (PBE+U) of crystalline NaMn2Mo2H3O10 at its relaxed geometry.

Properties
- ρ: 3467 kg/m³
- Crystal system: monoclinic

CIF file:
```
data_NaMn2Mo2H3O10
_cell_length_a 10.2932
_cell_length_b 7.9414
_cell_length_c 7.3461
_cell_angle_alpha 90.00
_cell_angle_beta 128.92
_cell_angle_gamma 90.00
_space_group_name_H-M_alt 'C 1 2 1'
_space_group_IT_number 5
loop_
_space_group_symop_operation_xyz
'x,y,z'
'-x,y,-z'
'x+1/2,y+1/2,z'
'-x+1/2,y+1/2,-z'
loop_
_atom_site_label
_atom_site_type_symbol
_atom_site_fract_x
_atom_site_fract_y
_atom_site_fract_z
Na1 Na 0.0000 0.0000 0.0000
Mn1 Mn 0.1836 0.1296 0.7908
Mo1 Mo 0.0194 0.4524 0.3068
H1 H 0.0000 0.9255 0.5000
H2 H 0.1507 0.9863 0.4779
O1 O 0.0288 0.9539 0.6874
O2 O 0.0492 0.2518 0.8544
O3 O 0.0913 0.6284 0.8840
O4 O 0.1606 0.4004 0.6504
O5 O 0.2315 0.5196 0.3616
```

=====

## ii
The following is a DFT calculation (PBE+U) of crystalline NaMn2Mo2H3O10 at its relaxed geometry.

Properties
- ρ: 3616 kg/m³
- Crystal system: triclinic

CIF file:
```
data_NaMn2Mo2H3O10
_cell_length_a 5.8461
_cell_length_b 5.8464
_cell_length_c 7.8129
_cell_angle_alpha 68.62
_cell_angle_beta 68.62
_cell_angle_gamma 69.33
_space_group_name_H-M_alt 'P 1'
_space_group_IT_number 1
loop_
_space_group_symop_operation_xyz
'x,y,z'
loop_
_atom_site_label
_atom_site_type_symbol
_atom_site_fract_x
_atom_site_fract_y
_atom_site_fract_z
Na1 Na 0.0000 0.0000 0.0000
Mn1 Mn 0.0024 0.4967 0.4997
Mn2 Mn 0.5028 0.9993 0.4998
Mo1 Mo 0.4145 0.4128 0.7953
Mo2 Mo 0.5873 0.5857 0.2047
H1 H 0.0029 0.9949 0.5008
H2 H 0.1787 0.1721 0.2800
H3 H 0.8280 0.8214 0.7201
O1 O 0.1455 0.1386 0.4197
O2 O 0.2488 0.6845 0.2367
O3 O 0.2573 0.2570 0.0263
O4 O 0.3157 0.7512 0.7632
O5 O 0.3282 0.3254 0.6265
O6 O 0.6747 0.6719 0.3734
O7 O 0.6872 0.2472 0.2364
O8 O 0.7429 0.7427 0.9735
O9 O 0.7530 0.3128 0.7635
O10 O 0.8618 0.8548 0.5803
```

=====

Relative energies, in eV/atom, with the most stable structure set to zero: i 0.269; ii 0.000.

=====

## i
The following is a DFT calculation (PBE+U) of crystalline Fe10O9F11 at its relaxed geometry.

Properties
- ρ: 4300 kg/m³
- Crystal system: monoclinic

CIF file:
```
data_Fe10O9F11
_cell_length_a 4.7471
_cell_length_b 15.5670
_cell_length_c 4.7651
_cell_angle_alpha 90.00
_cell_angle_beta 91.93
_cell_angle_gamma 90.00
_space_group_name_H-M_alt 'P 1 m 1'
_space_group_IT_number 6
loop_
_space_group_symop_operation_xyz
'x,y,z'
'x,-y,z'
loop_
_atom_site_label
_atom_site_type_symbol
_atom_site_fract_x
_atom_site_fract_y
_atom_site_fract_z
Fe1 Fe 0.0000 0.0000 0.0000
Fe2 Fe 0.0041 0.2020 0.9922
Fe3 Fe 0.4167 0.0997 0.5046
Fe4 Fe 0.4322 0.2936 0.4804
Fe5 Fe 0.4690 0.5000 0.5028
Fe6 Fe 0.9691 0.4057 0.0075
O1 O 0.1453 0.3052 0.1780
O2 O 0.1525 0.1010 0.1854
O3 O 0.1665 0.5000 0.2034
O4 O 0.2610 0.0000 0.6900
O5 O 0.2638 0.1994 0.6880
O6 O 0.7622 0.5000 0.8002
F1 F 0.2641 0.4019 0.6914
F2 F 0.6520 0.0000 0.3013
F3 F 0.6543 0.4003 0.3030
F4 F 0.6603 0.1987 0.2897
F5 F 0.7570 0.3039 0.7883
F6 F 0.7622 0.1009 0.7934
```

=====

## ii
The following is a DFT calculation (PBE+U) of crystalline Fe10O9F11 at its relaxed geometry.

Properties
- ρ: 4311 kg/m³
- Crystal system: monoclinic

CIF file:
```
data_Fe10O9F11
_cell_length_a 4.7746
_cell_length_b 15.4174
_cell_length_c 4.7855
_cell_angle_alpha 90.00
_cell_angle_beta 94.67
_cell_angle_gamma 90.00
_space_group_name_H-M_alt 'P 1 m 1'
_space_group_IT_number 6
loop_
_space_group_symop_operation_xyz
'x,y,z'
'x,-y,z'
loop_
_atom_site_label
_atom_site_type_symbol
_atom_site_fract_x
_atom_site_fract_y
_atom_site_fract_z
Fe1 Fe 0.0000 0.0000 0.0000
Fe2 Fe 0.0029 0.2023 0.0036
Fe3 Fe 0.4997 0.0979 0.4995
Fe4 Fe 0.5062 0.2920 0.5127
Fe5 Fe 0.5472 0.5000 0.4920
Fe6 Fe 0.9692 0.4096 0.9875
O1 O 0.2995 0.1985 0.3027
O2 O 0.2995 0.0000 0.2992
O3 O 0.6837 0.3948 0.6796
O4 O 0.7016 0.0000 0.7010
O5 O 0.7019 0.1960 0.7047
O6 O 0.7973 0.5000 0.2004
F1 F 0.1919 0.2987 0.8065
F2 F 0.1929 0.0998 0.8095
F3 F 0.2106 0.5000 0.7877
F4 F 0.2945 0.3967 0.2903
F5 F 0.8003 0.2975 0.1955
F6 F 0.8087 0.0996 0.1932
```

=====

Relative energies, in eV/atom, with the most stable structure set to zero: i 0.000; ii 0.007.

=====

## i
The following is a DFT calculation (PBE+U) of crystalline Fe10O9F11 at its relaxed geometry.

Properties
- ρ: 4314 kg/m³
- Crystal system: monoclinic

CIF file:
```
data_Fe10O9F11
_cell_length_a 6.6006
_cell_length_b 6.8603
_cell_length_c 15.4968
_cell_angle_alpha 90.00
_cell_angle_beta 90.21
_cell_angle_gamma 90.00
_space_group_name_H-M_alt 'C 1 2 1'
_space_group_IT_number 5
loop_
_space_group_symop_operation_xyz
'x,y,z'
'-x,y,-z'
'x+1/2,y+1/2,z'
'-x+1/2,y+1/2,-z'
loop_
_atom_site_label
_atom_site_type_symbol
_atom_site_fract_x
_atom_site_fract_y
_atom_site_fract_z
Fe1 Fe 0.0000 0.9999 0.0000
Fe2 Fe 0.9998 0.0000 0.3878
Fe3 Fe 0.0000 0.5479 0.5000
Fe4 Fe 0.0046 0.5340 0.6971
Fe5 Fe 0.0109 0.0318 0.7977
Fe6 Fe 0.0277 0.5315 0.0911
O1 O 0.0000 0.7239 0.0000
O2 O 0.0023 0.7146 0.5983
O3 O 0.1777 0.0242 0.8992
O4 O 0.1966 0.0240 0.2967
O5 O 0.2032 0.0241 0.7013
F1 F 0.0000 0.3095 0.0000
F2 F 0.0021 0.3272 0.5951
F3 F 0.0020 0.3351 0.2003
F4 F 0.0034 0.7213 0.2004
F5 F 0.1902 0.0195 0.4999
F6 F 0.2109 0.0223 0.1020
```

=====

## ii
The following is a DFT calculation (PBE+U) of crystalline Fe10O9F11 at its relaxed geometry.

Properties
- ρ: 4300 kg/m³
- Crystal system: monoclinic

CIF file:
```
data_Fe10O9F11
_cell_length_a 4.7637
_cell_length_b 15.4949
_cell_length_c 4.7702
_cell_angle_alpha 90.00
_cell_angle_beta 91.46
_cell_angle_gamma 90.00
_space_group_name_H-M_alt 'P 1 m 1'
_space_group_IT_number 6
loop_
_space_group_symop_operation_xyz
'x,y,z'
'x,-y,z'
loop_
_atom_site_label
_atom_site_type_symbol
_atom_site_fract_x
_atom_site_fract_y
_atom_site_fract_z
Fe1 Fe 0.0000 0.0000 0.0000
Fe2 Fe 0.0370 0.2060 0.0576
Fe3 Fe 0.4954 0.0934 0.5050
Fe4 Fe 0.5391 0.2980 0.4942
Fe5 Fe 0.5488 0.5000 0.5159
Fe6 Fe 0.9617 0.4012 0.0118
O1 O 0.3014 0.0000 0.3136
O2 O 0.3319 0.2007 0.3345
O3 O 0.6954 0.0000 0.6989
O4 O 0.6961 0.3979 0.6989
O5 O 0.8079 0.5000 0.2028
O6 O 0.8236 0.3009 0.2073
F1 F 0.1980 0.5000 0.8127
F2 F 0.2094 0.1115 0.8203
F3 F 0.2113 0.3023 0.8208
F4 F 0.3106 0.4009 0.3084
F5 F 0.7243 0.2003 0.7220
F6 F 0.8147 0.1088 0.2165
```

=====

Relative energies, in eV/atom, with the most stable structure set to zero: i 0.017; ii 0.000.